A plane-wave DFT calculation with r2SCAN was carried out for crystalline Ca2Bi at its relaxed geometry.

Summary:
**Total DFT energy (no corrections)**: -25.101 eV/atom
**Volume**: 33.37 A^3/atom
**Magnetic moment**: 0.0 μB per cell
**DFT formation energy**: -0.91 eV/atom

extended XYZ file:
```
6
Lattice="-2.4255 2.4255 8.5077 2.4255 -2.4255 8.5077 2.4255 2.4255 -8.5077" Properties=species:S:1:pos:R:3 pbc="T T T"
Ca 2.4255 0.0000 0.0000
Ca 0.0000 0.0000 2.9641
Ca 0.0000 2.4255 0.0000
Ca 0.0000 0.0000 14.0512
Bi 0.0000 0.0000 6.1892
Bi 0.0000 0.0000 10.8261
```